A plane-wave DFT calculation with PBE-GGA was carried out for a relaxed Ce2Ni3Ge5 crystal.

**SG**: No. 72
**Crystal system**: orthorhombic
**ΔH_f (0 K)**: -649 meV per atom
**ρ**: 8.014 g cm⁻³

Lattice parameters (Å, degrees): 8.184 8.184 8.184 106.94 88.40 137.44
Sites, in units of the cell vectors:
1 Ce 0.132 0.233 0.365
2 Ce 0.368 0.733 0.101
3 Ce 0.632 0.267 0.899
4 Ce 0.868 0.767 0.635
5 Ni 0.138 0.890 0.028
6 Ni 0.250 0.750 0.500
7 Ni 0.362 0.390 0.752
8 Ni 0.638 0.610 0.248
9 Ni 0.750 0.250 0.500
10 Ni 0.862 0.110 0.972
11 Ge 0.019 0.750 0.269
12 Ge 0.101 0.656 0.757
13 Ge 0.250 0.250 0.000
14 Ge 0.399 0.156 0.555
15 Ge 0.481 0.750 0.731
16 Ge 0.519 0.250 0.269
17 Ge 0.601 0.844 0.445
18 Ge 0.750 0.750 0.000
19 Ge 0.899 0.344 0.243
20 Ge 0.981 0.250 0.731

A plane-wave DFT calculation with PBE-GGA was carried out for a relaxed Ce2NiGe6 crystal.

**SG**: No. 38
**Crystal system**: orthorhombic
**ΔH_f (0 K)**: -514 meV per atom
**ρ**: 7.031 g cm⁻³

Lattice parameters (Å, degrees): 4.118 11.093 11.093 21.17 90.00 90.00
Sites, in units of the cell vectors:
1 Ce 0.000 0.000 0.000
2 Ce 0.000 0.332 0.332
3 Ni 0.500 0.775 0.775
4 Ge 0.000 0.605 0.605
5 Ge 0.000 0.720 0.720
6 Ge 0.500 0.104 0.104
7 Ge 0.500 0.220 0.220
8 Ge 0.500 0.452 0.452
9 Ge 0.500 0.882 0.882

A plane-wave DFT calculation with PBE-GGA was carried out for a relaxed Ce2NiGe3 crystal.

**SG**: No. 38
**Crystal system**: orthorhombic
**ΔH_f (0 K)**: -711 meV per atom
**ρ**: 7.435 g cm⁻³

Lattice parameters (Å, degrees): 4.170 8.312 8.312 120.31 90.00 90.00
Sites, in units of the cell vectors:
1 Ce 0.000 0.000 0.000
2 Ce 0.000 0.498 0.498
3 Ce 0.000 0.498 0.997
4 Ce 0.000 0.997 0.498
5 Ni 0.500 0.165 0.832
6 Ni 0.500 0.832 0.165
7 Ge 0.500 0.152 0.325
8 Ge 0.500 0.325 0.152
9 Ge 0.500 0.325 0.671
10 Ge 0.500 0.671 0.325
11 Ge 0.500 0.672 0.844
12 Ge 0.500 0.844 0.672

A plane-wave DFT calculation with PBE-GGA was carried out for a relaxed CeNiGe3 crystal.

**SG**: No. 65
**Crystal system**: orthorhombic
**ΔH_f (0 K)**: -571 meV per atom
**ρ**: 7.325 g cm⁻³

Lattice parameters (Å, degrees): 11.106 11.106 4.170 90.00 90.00 158.45
Sites, in units of the cell vectors:
1 Ce 0.168 0.832 0.000
2 Ce 0.832 0.168 0.000
3 Ni 0.390 0.610 0.500
4 Ni 0.610 0.390 0.500
5 Ge 0.057 0.943 0.500
6 Ge 0.284 0.716 0.500
7 Ge 0.443 0.557 0.000
8 Ge 0.557 0.443 0.000
9 Ge 0.716 0.284 0.500
10 Ge 0.943 0.057 0.500

A plane-wave DFT calculation with PBE-GGA was carried out for a relaxed Ce2Ge3O9 crystal.

**SG**: No. 2
**Crystal system**: triclinic
**ΔH_f (0 K)**: -2746 meV per atom
**Corrected total energy (MP2020 scheme)**: -7.765 eV/atom
**ρ**: 6.028 g cm⁻³

Lattice parameters (Å, degrees): 5.772 7.768 8.795 107.34 108.49 91.49
Sites, in units of the cell vectors:
1 Ce 0.132 0.197 0.218
2 Ce 0.190 0.818 0.418
3 Ce 0.810 0.182 0.582
4 Ce 0.868 0.803 0.782
5 Ge 0.237 0.513 0.002
6 Ge 0.336 0.486 0.658
7 Ge 0.428 0.074 0.852
8 Ge 0.572 0.926 0.148
9 Ge 0.664 0.514 0.342
10 Ge 0.763 0.487 0.998
11 O 0.010 0.677 0.044
12 O 0.119 0.012 0.694
13 O 0.126 0.517 0.774
14 O 0.174 0.287 0.499
15 O 0.288 0.993 0.999
16 O 0.352 0.538 0.238
17 O 0.398 0.684 0.616
18 O 0.419 0.971 0.308
19 O 0.468 0.327 0.954
20 O 0.532 0.673 0.046
21 O 0.581 0.029 0.692
22 O 0.602 0.316 0.384
23 O 0.648 0.462 0.762
24 O 0.712 0.007 0.001
25 O 0.826 0.713 0.501
26 O 0.874 0.483 0.226
27 O 0.881 0.988 0.306
28 O 0.990 0.323 0.956

A plane-wave DFT calculation with PBE-GGA was carried out for a relaxed CeGeO2 crystal.

**SG**: No. 141
**Crystal system**: tetragonal
**ΔH_f (0 K)**: -2225 meV per atom
**Corrected total energy (MP2020 scheme)**: -7.338 eV/atom
**ρ**: 6.142 g cm⁻³

Lattice parameters (Å, degrees): 7.565 7.565 7.565 127.43 127.43 77.55
Sites, in units of the cell vectors:
1 Ce 0.000 0.000 0.000
2 Ce 0.000 0.000 0.500
3 Ce 0.000 0.500 0.000
4 Ce 0.500 0.000 0.500
5 Ge 0.000 0.500 0.500
6 Ge 0.500 0.000 0.000
7 Ge 0.500 0.500 0.000
8 Ge 0.500 0.500 0.500
9 O 0.192 0.201 0.991
10 O 0.201 0.192 0.491
11 O 0.201 0.710 0.009
12 O 0.290 0.799 0.491
13 O 0.710 0.201 0.509
14 O 0.799 0.290 0.991
15 O 0.799 0.808 0.509
16 O 0.808 0.799 0.009

A plane-wave DFT calculation with PBE-GGA was carried out for a relaxed Sr2CeGeO6 crystal.

**SG**: No. 225
**Crystal system**: cubic
**ΔH_f (0 K)**: -3101 meV per atom
**Corrected total energy (MP2020 scheme)**: -7.463 eV/atom
**ρ**: 5.721 g cm⁻³

Lattice parameters (Å, degrees): 5.835 5.835 5.835 60.00 60.00 60.00
Sites, in units of the cell vectors:
1 Sr 0.250 0.250 0.250
2 Sr 0.750 0.750 0.750
3 Ce 0.000 0.000 0.000
4 Ge 0.500 0.500 0.500
5 O 0.267 0.267 0.733
6 O 0.267 0.733 0.267
7 O 0.267 0.733 0.733
8 O 0.733 0.267 0.267
9 O 0.733 0.267 0.733
10 O 0.733 0.733 0.267

A plane-wave DFT calculation with PBE-GGA was carried out for a relaxed Ce3Ge13Os4 crystal.

**SG**: No. 223
**Crystal system**: cubic
**ΔH_f (0 K)**: -353 meV per atom
**ρ**: 9.350 g cm⁻³

Lattice parameters (Å, degrees): 9.106 9.106 9.106 90.00 90.00 90.00
Sites, in units of the cell vectors:
1 Ce 0.000 0.250 0.500
2 Ce 0.000 0.750 0.500
3 Ce 0.250 0.500 0.000
4 Ce 0.500 0.000 0.250
5 Ce 0.500 0.000 0.750
6 Ce 0.750 0.500 0.000
7 Ge 0.000 0.000 0.000
8 Ge 0.000 0.305 0.147
9 Ge 0.000 0.305 0.853
10 Ge 0.000 0.695 0.147
11 Ge 0.000 0.695 0.853
12 Ge 0.147 0.000 0.305
13 Ge 0.147 0.000 0.695
14 Ge 0.195 0.500 0.353
15 Ge 0.195 0.500 0.647
16 Ge 0.305 0.147 0.000
17 Ge 0.305 0.853 0.000
18 Ge 0.353 0.195 0.500
19 Ge 0.353 0.805 0.500
20 Ge 0.500 0.353 0.195
21 Ge 0.500 0.353 0.805
22 Ge 0.500 0.500 0.500
23 Ge 0.500 0.647 0.195
24 Ge 0.500 0.647 0.805
25 Ge 0.647 0.195 0.500
26 Ge 0.647 0.805 0.500
27 Ge 0.695 0.147 0.000
28 Ge 0.695 0.853 0.000
29 Ge 0.805 0.500 0.353
30 Ge 0.805 0.500 0.647
31 Ge 0.853 0.000 0.305
32 Ge 0.853 0.000 0.695
33 Os 0.250 0.250 0.250
34 Os 0.250 0.250 0.750
35 Os 0.250 0.750 0.250
36 Os 0.250 0.750 0.750
37 Os 0.750 0.250 0.250
38 Os 0.750 0.250 0.750
39 Os 0.750 0.750 0.250
40 Os 0.750 0.750 0.750